TbSi | r2SCAN | optimized geometry

## Properties
Its total energy is -41.808 eV per formula unit. The value obtained for the formation energy is -0.90 eV per atom. The calculation puts the volume at 43.64 Å³/f.u.

abc: 3.8390 5.7216 7.9467
angles: 90.00 90.00 90.00
With the nearest neighbours (Å) after each atom.
Positions (direct):
Tb 0.2500 0.3852 0.6793  7 Si 2.96-3.16
Tb 0.7500 0.6148 0.3207  7 Si 2.96-3.16
Tb 0.7500 0.8852 0.8207  7 Si 2.96-3.16
Tb 0.2500 0.1148 0.1793  7 Si 2.96-3.16
Si 0.2500 0.8727 0.5373  2 Si 2.48
Si 0.7500 0.1273 0.4627  2 Si 2.48
Si 0.7500 0.3727 0.9627  2 Si 2.48
Si 0.2500 0.6273 0.0373  2 Si 2.48

U2Si3Pt | r2SCAN | optimized geometry

## Properties
Its total energy is -242.020 eV per formula unit. The value obtained for the formation energy is -0.72 eV per atom. The calculation puts the volume at 117.34 Å³/f.u.

abc: 4.0048 4.1525 7.0557
angles: 90.00 90.00 89.94
With the nearest neighbours (Å) after each atom.
Positions (direct):
U 0.0000 0.0000 0.9922  10 Si 3.03-3.13, 2 Pt 3.12
U 0.0000 0.5000 0.5086  8 Si 3.05-3.15, 4 Pt 3.14-3.15
Si 0.5000 0.5000 0.8338  3 Si 2.33-2.38
Si 0.5000 0.5000 0.1641  1 Si 2.33, 2 Pt 2.39
Si 0.5000 0.9999 0.6699  2 Si 2.38, 1 Pt 2.39
Pt 0.5000 0.0000 0.3314  3 Si 2.39

SmRh3 | r2SCAN | optimized geometry

## Properties
Its total energy is -104.456 eV per formula unit. The value obtained for the formation energy is -0.58 eV per atom. The calculation puts the volume at 70.00 Å³/f.u.

abc: 5.2659 5.2659 17.4901
angles: 90.00 90.00 120.00
With the nearest neighbours (Å) after each atom.
Positions (direct):
Sm 0.6667 0.3333 0.0420  12 Rh 3.03-3.33, 3 Sm 3.38
Sm 0.3333 0.6667 0.9580  12 Rh 3.03-3.33, 3 Sm 3.38
Sm 0.3333 0.6667 0.5420  12 Rh 3.03-3.33, 3 Sm 3.38
Sm 0.6667 0.3333 0.4580  12 Rh 3.03-3.33, 3 Sm 3.38
Sm 0.6667 0.3333 0.2500  18 Rh 3.04-3.40
Sm 0.3333 0.6667 0.7500  18 Rh 3.04-3.40
Rh 0.8332 0.6663 0.6274  7 Rh 2.63-2.70
Rh 0.8332 0.1668 0.6274  7 Rh 2.63-2.70
Rh 0.3337 0.1668 0.6274  7 Rh 2.63-2.70
Rh 0.1668 0.3337 0.3726  7 Rh 2.63-2.70
Rh 0.1668 0.8332 0.3726  7 Rh 2.63-2.70
Rh 0.6663 0.8332 0.3726  7 Rh 2.63-2.70
Rh 0.1668 0.3337 0.1274  7 Rh 2.63-2.70
Rh 0.1668 0.8332 0.1274  7 Rh 2.63-2.70
Rh 0.6663 0.8332 0.1274  7 Rh 2.63-2.70
Rh 0.8332 0.6663 0.8726  7 Rh 2.63-2.70
Rh 0.8332 0.1668 0.8726  7 Rh 2.63-2.70
Rh 0.3337 0.1668 0.8726  7 Rh 2.63-2.70
Rh 0.6667 0.3333 0.7500  6 Rh 2.63
Rh 0.3333 0.6667 0.2500  6 Rh 2.63
Rh 0.0000 0.0000 0.7500  6 Rh 2.63
Rh 0.0000 0.0000 0.2500  6 Rh 2.63
Rh 0.0000 0.0000 0.5000  6 Rh 2.70
Rh 0.0000 0.0000 0.0000  6 Rh 2.70

LaVGe3 | r2SCAN | optimized geometry

## Properties
Its total energy is -88.507 eV per formula unit. The value obtained for the formation energy is -0.61 eV per atom. The calculation puts the volume at 96.37 Å³/f.u.

abc: 6.2606 6.2606 5.6779
angles: 90.00 90.00 120.00
With the nearest neighbours (Å) after each atom.
Positions (direct):
La 0.3333 0.6667 0.7500  12 Ge 3.14-3.21
La 0.6667 0.3333 0.2500  12 Ge 3.14-3.21
V 0.0000 0.0000 0.5000  6 Ge 2.54, 2 V 2.84
V 0.0000 0.0000 0.0000  6 Ge 2.54, 2 V 2.84
Ge 0.1943 0.8057 0.2500  2 V 2.54, 2 Ge 2.61
Ge 0.1943 0.3886 0.2500  2 V 2.54, 2 Ge 2.61
Ge 0.6114 0.8057 0.2500  2 V 2.54, 2 Ge 2.61
Ge 0.8057 0.1943 0.7500  2 V 2.54, 2 Ge 2.61
Ge 0.8057 0.6114 0.7500  2 V 2.54, 2 Ge 2.61
Ge 0.3886 0.1943 0.7500  2 V 2.54, 2 Ge 2.61

CsV3O8 | r2SCAN | optimized geometry

## Properties
Its total energy is -145.155 eV per formula unit. The value obtained for the formation energy is -2.50 eV per atom. The calculation puts the volume at 176.80 Å³/f.u.

abc: 8.5390 5.0286 8.2924
angles: 83.24 90.00 90.00
With the nearest neighbours (Å) after each atom.
Positions (direct):
Cs 0.2500 0.0703 0.0561  8 O 3.01-3.35
Cs 0.7500 0.9297 0.9439  8 O 3.01-3.35
V 0.5564 0.4358 0.3282  2 O 1.61-1.75
V 0.0564 0.5642 0.6718  2 O 1.61-1.75
V 0.4436 0.5642 0.6718  2 O 1.61-1.75
V 0.9436 0.4358 0.3282  2 O 1.61-1.75
V 0.2500 0.0795 0.5651  1 O 1.61
V 0.7500 0.9205 0.4349  1 O 1.61
O 0.6024 0.1096 0.2893  2 V 1.75-1.92
O 0.1024 0.8904 0.7107  2 V 1.75-1.92
O 0.3976 0.8904 0.7107  2 V 1.75-1.92
O 0.8976 0.1096 0.2893  2 V 1.75-1.92
O 0.5565 0.4373 0.8171  1 V 1.61
O 0.0565 0.5627 0.1829  1 V 1.61
O 0.4435 0.5627 0.1829  1 V 1.61
O 0.9435 0.4373 0.8171  1 V 1.61
O 0.7500 0.1118 0.5771  1 V 1.61
O 0.2500 0.8882 0.4229  1 V 1.61
O 0.7500 0.5757 0.2636  2 V 1.85
O 0.2500 0.4243 0.7364  2 V 1.85
O 0.9109 0.6782 0.4974  3 V 1.87-1.98
O 0.4109 0.3218 0.5026  3 V 1.87-1.98
O 0.0891 0.3218 0.5026  3 V 1.87-1.98
O 0.5891 0.6782 0.4974  3 V 1.87-1.98

Tm2MgSe4 | r2SCAN | optimized geometry

## Properties
Its total energy is -145.503 eV per formula unit. The value obtained for the formation energy is -1.98 eV per atom. The calculation puts the volume at 190.08 Å³/f.u.

abc: 8.1313 8.1313 8.1313
angles: 60.00 60.00 60.00
With the nearest neighbours (Å) after each atom.
Positions (direct):
Tm 0.5000 0.5000 0.5000  6 Se 2.82
Tm 0.5000 0.0000 0.5000  6 Se 2.82
Tm 0.0000 0.5000 0.5000  6 Se 2.82
Tm 0.5000 0.5000 0.0000  6 Se 2.82
Mg 0.8750 0.8750 0.8750  4 Se 2.59
Mg 0.1250 0.1250 0.1250  4 Se 2.59
Se 0.2553 0.2553 0.7342  1 Mg 2.59, 3 Tm 2.82
Se 0.7447 0.7447 0.7447  1 Mg 2.59, 3 Tm 2.82
Se 0.7447 0.7447 0.2658  1 Mg 2.59, 3 Tm 2.82
Se 0.2553 0.7342 0.2553  1 Mg 2.59, 3 Tm 2.82
Se 0.2553 0.2553 0.2553  1 Mg 2.59, 3 Tm 2.82
Se 0.2658 0.7447 0.7447  1 Mg 2.59, 3 Tm 2.82
Se 0.7447 0.2658 0.7447  1 Mg 2.59, 3 Tm 2.82
Se 0.7342 0.2553 0.2553  1 Mg 2.59, 3 Tm 2.82

Gd2SbO2 | r2SCAN | optimized geometry

## Properties
Its total energy is -138.963 eV per formula unit. The value obtained for the formation energy is -2.90 eV per atom. The calculation puts the volume at 101.30 Å³/f.u.

abc: 7.2593 7.2595 7.2593
angles: 148.98 148.98 44.44
With the nearest neighbours (Å) after each atom.
Positions (direct):
Gd 0.3359 0.3196 0.9837  4 O 2.26
Gd 0.6641 0.6478 0.9838  4 O 2.26
Sb 0.0000 0.9808 0.9808  8 Gd 3.52-3.53, 8 O 3.88-3.89, 4 Sb 3.88
O 0.7500 0.2336 0.4836  4 Gd 2.26
O 0.2500 0.7337 0.4836  4 Gd 2.26

Ca5Ga3 | r2SCAN | optimized geometry

## Properties
Its total energy is -72.955 eV per formula unit. The value obtained for the formation energy is -0.43 eV per atom. The calculation puts the volume at 233.79 Å³/f.u.

abc: 7.9263 7.9263 9.3198
angles: 115.19 115.19 90.00
With the nearest neighbours (Å) after each atom.
Positions (direct):
Ca 0.5000 0.5000 0.0000  4 Ga 3.22
Ca 0.0000 0.0000 0.0000  4 Ga 3.22
Ca 0.0353 0.5353 0.7128  5 Ga 3.18-3.32, 1 Ca 3.55
Ca 0.6774 0.1774 0.7127  5 Ga 3.18-3.31, 1 Ca 3.54
Ca 0.1775 0.0352 0.7128  5 Ga 3.17-3.32, 1 Ca 3.55
Ca 0.5352 0.6775 0.7128  5 Ga 3.17-3.32, 1 Ca 3.55
Ca 0.9647 0.4647 0.2872  5 Ga 3.18-3.32, 1 Ca 3.55
Ca 0.3226 0.8226 0.2873  5 Ga 3.18-3.31, 1 Ca 3.54
Ca 0.8225 0.9648 0.2872  5 Ga 3.17-3.32, 1 Ca 3.55
Ca 0.4648 0.3225 0.2872  5 Ga 3.17-3.32, 1 Ca 3.55
Ga 0.2501 0.2499 0.5000  8 Ca 3.31-3.32
Ga 0.7499 0.7501 0.5000  8 Ca 3.31-3.32
Ga 0.3910 0.8910 0.9999  1 Ga 2.44
Ga 0.6090 0.1090 0.0001  1 Ga 2.44
Ga 0.1089 0.3911 0.0000  1 Ga 2.44
Ga 0.8911 0.6089 0.0000  1 Ga 2.44